DFT (meta-GGA r2SCAN) results for a geometry-optimized Th3N4 structure.

Computed properties:
Energy relative to the elements ... -13.19 eV/f.u.
Theoretical density ... 10.49 g/cm³
DFT total energy ... -270.13 eV for the cell shown

Structure (POSCAR):
```
Th3N4
1.0
1.938 1.119 9.154
-1.938 1.119 9.154
0.000 -2.237 9.154
Th N
3 4
direct
0.000 0.000 0.000 Th
0.222 0.222 0.222 Th
0.778 0.778 0.778 Th
0.132 0.132 0.132 N
0.377 0.377 0.377 N
0.623 0.623 0.623 N
0.868 0.868 0.868 N
```

---

DFT (meta-GGA r2SCAN) results for a geometry-optimized YThN2 structure.

Computed properties:
Energy relative to the elements ... -7.44 eV/f.u.
Theoretical density ... 8.99 g/cm³
DFT total energy ... -119.49 eV for the cell shown

Structure (POSCAR):
```
YThN2
1.0
3.585 0.000 0.000
0.000 3.585 0.000
0.000 0.000 5.015
Y Th N
1 1 2
direct
0.000 0.000 0.000 Y
0.500 0.500 0.500 Th
0.000 0.000 0.500 N
0.500 0.500 0.000 N
```